(1)
DFT (r²SCAN) results for crystalline EuMgPd at its relaxed geometry.

Cell lengths 7.4695, 4.3552, 8.6657 Å; angles 90.00, 90.07, 90.00 degrees
With the nearest neighbours (Å) after each atom.
Space group Pm (No. 6)
Asymmetric unit:
Eu (0.0000, 0.0000, 0.0000) x1  5 Pd 3.14-3.18, 5 Mg 3.39-3.45
Eu (0.0651, 0.5000, 0.6441) x1  5 Pd 3.14-3.18, 5 Mg 3.39-3.46
Eu (0.4990, 0.0000, 0.1451) x1  5 Pd 3.14-3.18, 5 Mg 3.40-3.46
Eu (0.5648, 0.5000, 0.4983) x1  5 Pd 3.14-3.18, 5 Mg 3.40-3.45
Mg (0.1667, 0.5000, 0.2625) x1  4 Pd 2.77-2.93
Mg (0.3976, 0.0000, 0.7625) x1  4 Pd 2.77-2.93
Mg (0.6686, 0.5000, 0.8811) x1  4 Pd 2.78-2.92
Mg (0.8954, 0.0000, 0.3814) x1  4 Pd 2.78-2.92
Pd (0.2604, 0.0000, 0.4456) x1  4 Mg 2.78-2.93
Pd (0.3040, 0.5000, 0.9456) x1  4 Mg 2.78-2.93
Pd (0.7612, 0.0000, 0.6978) x1  4 Mg 2.77-2.92
Pd (0.8034, 0.5000, 0.1979) x1  4 Mg 2.77-2.92

Output
**Calculated density**: 6.661 Mg/m³
**Energy relative to the elements**: -1.80 eV per formula unit

---

(2)
DFT (r²SCAN) results for crystalline CaTi4S8 at its relaxed geometry.

Cell lengths 6.8744, 6.8744, 20.1761 Å; angles 90.00, 90.00, 120.00 degrees
With the nearest neighbours (Å) after each atom.
Space group R-3m (No. 166, hexagonal axes)
Asymmetric unit:
Ca (0.0000, 0.0000, 0.0000) x3  6 S 2.78
Ti (0.0000, 0.0000, 0.5000) x3  6 S 2.43
Ti (0.0000, 0.5000, 0.5000) x9  6 S 2.43-2.46
S (0.0000, 0.0000, 0.2362) x6  3 Ti 2.43
S (0.0038, 0.5019, 0.2378) x18  3 Ti 2.43-2.46

Output
**Calculated density**: 2.945 Mg/m³
**Relative energy among the computed polymorphs**: 0.0 meV/atom
**Energy relative to the elements**: -21.89 eV per formula unit

---

(3)
DFT (r²SCAN) results for crystalline Mg2Te3O9 at its relaxed geometry.

Cell lengths 9.1546, 7.1638, 12.5703 Å; angles 90.00, 123.00, 90.00 degrees
With the nearest neighbours (Å) after each atom.
Space group P2_1/c (No. 14)
Asymmetric unit:
Mg (0.1017, 0.1208, 0.1363) x4  6 O 2.11-2.25
Mg (0.1113, 0.6285, 0.1416) x4  4 O 2.11-2.21
Te (0.2595, 0.6146, 0.9272) x4  3 O 1.88-1.93
Te (0.2763, 0.1076, 0.9409) x4  3 O 1.89-2.03
Te (0.4950, 0.1283, 0.7482) x4  6 O 1.87-1.98
O (0.0843, 0.1088, 0.9582) x4  1 Te 1.89
O (0.0843, 0.6414, 0.9643) x4  1 Te 1.91, 1 Mg 2.11
O (0.1250, 0.0744, 0.3108) x4  1 Te 1.88
O (0.1906, 0.6538, 0.3336) x4  1 Te 1.93, 1 Mg 2.12
O (0.2622, 0.1327, 0.7027) x4  1 Te 1.88
O (0.2719, 0.6155, 0.7019) x4  1 Te 1.87
O (0.4148, 0.1960, 0.5766) x4  2 Te 1.92-2.03
O (0.4309, 0.5669, 0.5758) x4  2 Te 1.96-1.98
O (0.4626, 0.6226, 0.1886) x4  2 Te 1.91

Output
**Calculated density**: 5.528 Mg/m³
**Energy relative to the elements**: -23.15 eV per formula unit

---

(4)
DFT (r²SCAN) results for crystalline TmSe at its relaxed geometry.

Cell lengths 5.6485, 5.6485, 5.6485 Å; angles 90.00, 90.00, 90.00 degrees
With the nearest neighbours (Å) after each atom.
Space group Fm-3m (No. 225)
Asymmetric unit:
Tm (0.0000, 0.0000, 0.0000) x4  6 Se 2.82
Se (0.0000, 0.0000, 0.5000) x4  6 Tm 2.82

Output
**Calculated density**: 9.136 Mg/m³
**Energy relative to the elements**: -3.80 eV per formula unit

---

Q: Look up the energy relative to the elements of the first one.
A: -1.80 eV per formula unit

---

Repeat the second record exactly.
DFT (r²SCAN) results for crystalline CaTi4S8 at its relaxed geometry.

Cell lengths 6.8744, 6.8744, 20.1761 Å; angles 90.00, 90.00, 120.00 degrees
With the nearest neighbours (Å) after each atom.
Space group R-3m (No. 166, hexagonal axes)
Asymmetric unit:
Ca (0.0000, 0.0000, 0.0000) x3  6 S 2.78
Ti (0.0000, 0.0000, 0.5000) x3  6 S 2.43
Ti (0.0000, 0.5000, 0.5000) x9  6 S 2.43-2.46
S (0.0000, 0.0000, 0.2362) x6  3 Ti 2.43
S (0.0038, 0.5019, 0.2378) x18  3 Ti 2.43-2.46

Output
**Calculated density**: 2.945 Mg/m³
**Relative energy among the computed polymorphs**: 0.0 meV/atom
**Energy relative to the elements**: -21.89 eV per formula unit